Entry 1:
A plane-wave DFT calculation with r²SCAN was carried out for a geometry-optimized CeSi2Ru structure.

```
CeSi2Ru
1.0
0.0000 -4.1067 0.0000
-4.3581 0.0000 0.9835
0.0250 0.0000 -8.2717
Ce Si Ru
2 4 2
Direct
0.7500 0.5964 0.2013
0.2500 0.4036 0.7987
0.7500 0.9607 0.9089
0.2500 0.0393 0.0910
0.7500 0.3320 0.5056
0.2500 0.6680 0.4944
0.7500 0.8844 0.6123
0.2500 0.1156 0.3877
```

Output
* formation enthalpy at 0 K: -3.494 eV per formula unit

***

Entry 2:
A plane-wave DFT calculation with r²SCAN was carried out for a geometry-optimized Cs3GeSe3 structure.

```
Cs3GeSe3
1.0
-6.7934 -4.3090 7.0369
3.4669 -10.1102 0.0407
5.8720 1.1182 7.6843
Cs Ge Se
12 4 12
Direct
0.2013 0.2464 0.3038
0.7536 0.7987 0.1962
0.7987 0.7536 0.6962
0.2464 0.2013 0.8038
0.2010 0.6100 0.6241
0.3900 0.7990 0.8759
0.7990 0.3900 0.3759
0.6100 0.2010 0.1241
0.5916 0.4084 0.7500
0.4084 0.5916 0.2500
0.0792 0.9208 0.2500
0.9208 0.0792 0.7500
0.5656 0.0781 0.5388
0.9219 0.4344 0.9612
0.4344 0.9219 0.4612
0.0781 0.5656 0.0388
0.5792 0.0539 0.7838
0.9461 0.4208 0.7162
0.4208 0.9461 0.2162
0.0539 0.5792 0.2838
0.4676 0.2913 0.4719
0.7087 0.5324 0.0281
0.5324 0.7087 0.5281
0.2913 0.4676 0.9719
0.7749 0.0417 0.4303
0.9583 0.2251 0.0697
0.2251 0.9583 0.5697
0.0417 0.7749 0.9303
```

Output
* formation enthalpy at 0 K: -8.245 eV per formula unit

***

Entry 3:
A plane-wave DFT calculation with r²SCAN was carried out for a geometry-optimized PdSe structure.

```
PdSe
1.0
6.7927 0.0001 0.0000
0.0000 6.7926 0.0000
0.0000 0.0000 6.9519
Pd Se
8 8
Direct
0.5315 0.7397 0.0000
0.2603 0.5315 0.5000
0.7397 0.4685 0.5000
0.4685 0.2603 0.0000
0.5000 0.0000 0.5000
0.0000 0.5000 0.0000
0.0000 0.0000 0.7500
0.0000 0.0000 0.2500
0.1933 0.3077 0.7709
0.6923 0.1933 0.2709
0.3077 0.8067 0.2709
0.8067 0.6923 0.7709
0.8067 0.6923 0.2291
0.3077 0.8067 0.7291
0.6923 0.1933 0.7291
0.1933 0.3077 0.2291
```

Output
* formation enthalpy at 0 K: -0.784 eV per formula unit

***

Entry 4:
A plane-wave DFT calculation with r²SCAN was carried out for a geometry-optimized ZrC structure.

```
ZrC
1.0
2.8860 0.0000 1.6662
0.9620 2.7210 1.6662
0.0000 0.0000 3.3325
Zr C
1 1
Direct
0.0000 0.0000 0.0000
0.5000 0.5000 0.5000
```

Output
* formation enthalpy at 0 K: -2.027 eV per formula unit

***

Entry 5:
A plane-wave DFT calculation with r²SCAN was carried out for a geometry-optimized HoZn structure.

```
HoZn
1.0
-1.6301 -0.7010 -3.0494
-0.5647 -3.3160 1.0642
-3.0776 0.9798 1.4199
Ho Zn
1 1
Direct
0.0000 0.0000 0.0000
0.5000 0.5000 0.5000
```

Output
* formation enthalpy at 0 K: -0.787 eV per formula unit

***

Entry 6:
A plane-wave DFT calculation with r²SCAN was carried out for a geometry-optimized PdAu3 structure.

```
PdAu3
1.0
4.0711 0.0000 0.0000
0.0000 4.0711 0.0000
0.0000 0.0000 4.0711
Pd Au
1 3
Direct
0.0000 0.0000 0.0000
0.0000 0.5000 0.5000
0.5000 0.0000 0.5000
0.5000 0.5000 0.0000
```

Output
* formation enthalpy at 0 K: -0.367 eV per formula unit

***

Entry 7:
A plane-wave DFT calculation with r²SCAN was carried out for a geometry-optimized ErMn12 structure.

```
ErMn12
1.0
4.5577 0.0004 1.7891
2.2793 5.9651 0.8949
0.1001 0.0003 6.4474
Er Mn
1 12
Direct
0.0000 0.0000 0.0000
0.7303 0.7698 0.7698
0.5000 0.0000 0.5000
0.0000 0.5000 0.0000
0.5000 0.5000 0.0000
0.0000 0.0000 0.5000
0.3717 0.6286 0.6286
0.0000 0.3714 0.6286
0.0000 0.6286 0.3714
0.6283 0.3714 0.3714
0.2697 0.2302 0.2302
0.5000 0.7698 0.2302
0.5000 0.2302 0.7698
```

Output
* formation enthalpy at 0 K: 0.808 eV per formula unit

***

Entry 8:
A plane-wave DFT calculation with r²SCAN was carried out for a geometry-optimized YbF structure.

```
YbF
1.0
1.8730 -3.2442 0.0000
1.8730 3.2442 0.0000
0.0000 0.0000 6.6209
Yb F
2 2
Direct
0.6667 0.3333 0.9392
0.3333 0.6667 0.4392
0.6667 0.3333 0.4353
0.3333 0.6667 0.9353
```

Output
* formation enthalpy at 0 K: -4.901 eV per formula unit

***

Among the records above, which one has the highest formation enthalpy at 0 K?
ErMn12

***

Which value of formation enthalpy at 0 K does entry 2 give?
-8.245 eV per formula unit

***

Among the records above, which one has the highest formation enthalpy at 0 K?
ErMn12

***

Look up the formation enthalpy at 0 K of the third one.
-0.784 eV per formula unit